Entry 1:
Below is a geometry-optimized CoH19S3N5O11 structure, with properties calculated at the PBE+U level.

Computed properties:
* density: 1.920 g/cm³
* total magnetic moment: 0.00 μB/f.u.
* DFT formation energy: -0.98 eV per atom

POSCAR file:
```
CoH19S3N5O11
1.0
-3.5973 2.3147 15.4368
-1.3718 -6.5513 0.6627
12.5799 -3.6765 3.4828
Co H S N O
4 76 12 20 44
Direct
0.3905 0.4807 0.2475
0.8905 0.5193 0.2525
0.6095 0.5193 0.7525
0.1095 0.4807 0.7475
0.2416 0.8488 0.9183
0.7416 0.1512 0.5817
0.7584 0.1512 0.0817
0.2584 0.8488 0.4183
0.3071 0.9146 0.8336
0.8071 0.0854 0.6664
0.6929 0.0854 0.1664
0.1929 0.9146 0.3336
0.3090 0.8240 0.2587
0.8090 0.1760 0.2413
0.6910 0.1760 0.7413
0.1910 0.8240 0.7587
0.3527 0.8354 0.1474
0.8527 0.1646 0.3526
0.6473 0.1646 0.8526
0.1473 0.8354 0.6474
0.3012 0.5145 0.0923
0.8012 0.4855 0.4077
0.6988 0.4855 0.9077
0.1988 0.5145 0.5923
0.3392 0.2860 0.1039
0.8392 0.7140 0.3961
0.6608 0.7140 0.8961
0.1608 0.2860 0.6039
0.3993 0.4770 0.0599
0.8993 0.5230 0.4401
0.6007 0.5230 0.9401
0.1007 0.4770 0.5599
0.5522 0.4742 0.2422
0.0522 0.5258 0.2578
0.4478 0.5258 0.7578
0.9478 0.4742 0.7422
0.5163 0.5241 0.1282
0.0163 0.4759 0.3718
0.4837 0.4759 0.8718
0.9837 0.5241 0.6282
0.5198 0.7037 0.2037
0.0198 0.2963 0.2963
0.4802 0.2963 0.7963
0.9802 0.7037 0.7037
0.2326 0.5185 0.2861
0.7326 0.4815 0.2139
0.7674 0.4815 0.7139
0.2674 0.5185 0.7861
0.2510 0.2848 0.2645
0.7510 0.7152 0.2355
0.7490 0.7152 0.7355
0.2490 0.2848 0.7645
0.2752 0.3561 0.3749
0.7752 0.6439 0.1251
0.7248 0.6439 0.6251
0.2248 0.3561 0.8749
0.4877 0.5565 0.3876
0.9877 0.4435 0.1124
0.5123 0.4435 0.6124
0.0123 0.5565 0.8876
0.4009 0.6771 0.3979
0.9009 0.3229 0.1021
0.5991 0.3229 0.6021
0.0991 0.6771 0.8979
0.4049 0.4353 0.4350
0.9049 0.5647 0.0650
0.5951 0.5647 0.5650
0.0951 0.4353 0.9350
0.4924 0.1698 0.2806
0.9924 0.8302 0.2194
0.5076 0.8302 0.7194
0.0076 0.1698 0.7806
0.4073 0.0875 0.2328
0.9073 0.9125 0.2672
0.5927 0.9125 0.7672
0.0927 0.0875 0.7328
0.4092 0.1305 0.3503
0.9092 0.8695 0.1497
0.5908 0.8695 0.6497
0.0908 0.1305 0.8503
0.1493 0.1121 0.0964
0.6493 0.8879 0.4036
0.8507 0.8879 0.9036
0.3507 0.1121 0.5964
0.1369 0.7814 0.1001
0.6369 0.2186 0.3999
0.8631 0.2186 0.8999
0.3631 0.7814 0.6001
0.4468 0.9199 0.9701
0.9468 0.0801 0.5299
0.5532 0.0801 0.0299
0.0532 0.9199 0.4701
0.3542 0.4321 0.1112
0.8542 0.5679 0.3888
0.6458 0.5679 0.8888
0.1458 0.4321 0.6112
0.4289 0.1835 0.2807
0.9289 0.8165 0.2193
0.5711 0.8165 0.7193
0.0711 0.1835 0.7807
0.4243 0.5433 0.3806
0.9243 0.4567 0.1194
0.5757 0.4567 0.6194
0.0757 0.5433 0.8806
0.5078 0.5545 0.2001
0.0078 0.4455 0.2999
0.4922 0.4455 0.7999
0.9922 0.5545 0.7001
0.2737 0.4018 0.3002
0.7737 0.5982 0.1998
0.7263 0.5982 0.6998
0.2263 0.4018 0.8002
0.3561 0.7762 0.2175
0.8561 0.2238 0.2825
0.6439 0.2238 0.7825
0.1439 0.7762 0.7175
0.2259 0.1351 0.1546
0.7259 0.8649 0.3454
0.7741 0.8649 0.8454
0.2741 0.1351 0.6546
0.1583 0.1842 0.9907
0.6583 0.8158 0.5093
0.8417 0.8158 0.0093
0.3417 0.1842 0.4907
0.0730 0.1788 0.1422
0.5730 0.8212 0.3578
0.9270 0.8212 0.8578
0.4270 0.1788 0.6422
0.1418 0.7052 0.2062
0.6418 0.2948 0.2938
0.8582 0.2948 0.7938
0.3582 0.7052 0.7062
0.0544 0.7500 0.0566
0.5544 0.2500 0.4434
0.9456 0.2500 0.9434
0.4456 0.7500 0.5566
0.2072 0.7140 0.0412
0.7072 0.2860 0.4588
0.7928 0.2860 0.9588
0.2928 0.7140 0.5412
0.4367 0.0070 0.8675
0.9367 0.9930 0.6325
0.5633 0.9930 0.1325
0.0633 0.0070 0.3675
0.3757 0.9607 0.0348
0.8757 0.0393 0.4652
0.6243 0.0393 0.9652
0.1243 0.9607 0.5348
0.4724 0.7080 0.9799
0.9724 0.2920 0.5201
0.5276 0.2920 0.0201
0.0276 0.7080 0.4799
0.2474 0.8926 0.8473
0.7474 0.1074 0.6527
0.7526 0.1074 0.1527
0.2526 0.8926 0.3473
```



Entry 2:
Below is a geometry-optimized MgNiGe2O6 structure, with properties calculated at the PBE+U level.

Computed properties:
* density: 4.644 g/cm³
* E above lowest polymorph: 8 meV/atom
* total magnetic moment: 2.00 μB/f.u.
* DFT formation energy: -2.17 eV per atom

POSCAR file:
```
MgNiGe2O6
1.0
-5.3089 -3.4121 -6.3967
-0.0366 -4.7628 2.5709
-7.7092 0.7362 6.0055
Mg Ni Ge O
4 4 8 24
Direct
0.4902 0.5592 0.2455
0.9902 0.9408 0.7545
0.5098 0.4408 0.7545
0.0098 0.0592 0.2455
0.6569 0.0490 0.2447
0.1569 0.4510 0.7553
0.3431 0.9510 0.7553
0.8431 0.5490 0.2447
0.3399 0.1730 0.0557
0.8399 0.3270 0.9443
0.6601 0.8270 0.9443
0.1601 0.6730 0.0557
0.3447 0.7686 0.4602
0.8447 0.7314 0.5398
0.6553 0.2314 0.5398
0.1553 0.2686 0.4602
0.2896 0.5036 0.3865
0.7896 0.9964 0.6135
0.7104 0.4964 0.6135
0.2104 0.0036 0.3865
0.3225 0.8284 0.1112
0.8225 0.6716 0.8888
0.6775 0.1716 0.8888
0.1775 0.3284 0.1112
0.9847 0.3128 0.3761
0.4847 0.1872 0.6239
0.0153 0.6872 0.6239
0.5153 0.8128 0.3761
0.0122 0.7765 0.1397
0.5122 0.7235 0.8603
0.9878 0.2235 0.8603
0.4878 0.2765 0.1397
0.3379 0.2375 0.8699
0.8379 0.2625 0.1301
0.6621 0.7625 0.1301
0.1621 0.7375 0.8699
0.3406 0.6727 0.6438
0.8406 0.8273 0.3562
0.6594 0.3273 0.3562
0.1594 0.1727 0.6438
```



Entry 3:
Below is a geometry-optimized K3PW12O40 structure, with properties calculated at the PBE+U level.

Computed properties:
* density: 5.760 g/cm³
* total magnetic moment: 0.03 μB/f.u.
* DFT formation energy: -2.23 eV per atom

POSCAR file:
```
K3PW12O40
1.0
-1.8846 9.3592 7.2638
-8.4065 4.1262 -7.4975
-8.3479 -6.2681 5.9104
K P W O
6 2 24 80
Direct
0.5000 0.5000 0.0000
0.5000 0.0000 0.0000
0.5000 0.0000 0.5000
0.0000 0.5000 0.5000
0.0000 0.5000 0.0000
0.0000 0.0000 0.5000
0.5000 0.5000 0.5000
0.0000 0.0000 0.0000
0.2141 0.2141 0.0077
0.5077 0.7141 0.2859
0.2141 0.7859 0.9923
0.2141 0.9923 0.7859
0.9923 0.2141 0.7859
0.4923 0.7141 0.7141
0.7859 0.9923 0.2141
0.7141 0.2859 0.5077
0.0077 0.2141 0.2141
0.7141 0.4923 0.7141
0.9923 0.7859 0.2141
0.2141 0.0077 0.2141
0.0077 0.7859 0.7859
0.7859 0.2141 0.9923
0.4923 0.2859 0.2859
0.2859 0.5077 0.7141
0.7859 0.0077 0.7859
0.2859 0.2859 0.4923
0.5077 0.2859 0.7141
0.7141 0.5077 0.2859
0.7859 0.7859 0.0077
0.2859 0.7141 0.5077
0.7141 0.7141 0.4923
0.2859 0.4923 0.2859
0.3153 0.0156 0.6847
0.1236 0.7165 0.8764
0.4021 0.2457 0.5979
0.7457 0.9021 0.9021
0.0979 0.7457 0.0979
0.1236 0.2835 0.1236
0.2543 0.9021 0.0979
0.9021 0.9021 0.7457
0.2165 0.3764 0.3764
0.8153 0.4844 0.1847
0.3153 0.3153 0.9844
0.4255 0.5745 0.5745
0.8764 0.7165 0.1236
0.6236 0.2165 0.6236
0.1847 0.1847 0.5156
0.9844 0.6847 0.6847
0.7165 0.1236 0.8764
0.6236 0.3764 0.7835
0.0979 0.2543 0.9021
0.0745 0.9255 0.9255
0.4021 0.5979 0.2457
0.6847 0.9844 0.6847
0.0979 0.0979 0.7457
0.7543 0.5979 0.5979
0.1236 0.1236 0.2835
0.2835 0.8764 0.8764
0.5745 0.4255 0.5745
0.4021 0.4021 0.7543
0.9021 0.0979 0.2543
0.8153 0.8153 0.5156
0.5156 0.1847 0.1847
0.2835 0.1236 0.1236
0.4844 0.1847 0.8153
0.8153 0.5156 0.8153
0.2165 0.6236 0.6236
0.3764 0.6236 0.7835
0.1847 0.5156 0.1847
0.4844 0.8153 0.1847
0.5979 0.4021 0.2457
0.5745 0.5745 0.4255
0.9255 0.0745 0.9255
0.5979 0.5979 0.7543
0.4021 0.7543 0.4021
0.7543 0.4021 0.4021
0.9021 0.7457 0.9021
0.8764 0.2835 0.8764
0.2457 0.4021 0.5979
0.2543 0.0979 0.9021
0.5979 0.7543 0.5979
0.6847 0.3153 0.0156
0.0156 0.3153 0.6847
0.0745 0.0745 0.0745
0.8764 0.1236 0.7165
0.6236 0.6236 0.2165
0.1847 0.8153 0.4844
0.8764 0.8764 0.2835
0.9255 0.9255 0.0745
0.3764 0.3764 0.2165
0.1236 0.8764 0.7165
0.3764 0.2165 0.3764
0.7165 0.8764 0.1236
0.9844 0.3153 0.3153
0.5979 0.2457 0.4021
0.7835 0.6236 0.3764
0.2457 0.5979 0.4021
0.5156 0.8153 0.8153
0.1847 0.4844 0.8153
0.0979 0.9021 0.2543
0.9021 0.2543 0.0979
0.4255 0.4255 0.4255
0.3153 0.6847 0.0156
0.6847 0.0156 0.3153
0.3153 0.9844 0.3153
0.7835 0.3764 0.6236
0.0156 0.6847 0.3153
0.8153 0.1847 0.4844
0.6847 0.6847 0.9844
0.7457 0.0979 0.0979
0.6236 0.7835 0.3764
0.3764 0.7835 0.6236
```



Entry 4:
Below is a geometry-optimized MnO2 structure, with properties calculated at the PBE+U level.

Computed properties:
* density: 4.405 g/cm³
* total magnetic moment: 3.00 μB/f.u.
* DFT formation energy: -1.60 eV per atom

POSCAR file:
```
MnO2
1.0
4.2389 1.6078 1.9413
-4.8756 -0.4070 0.6202
1.2539 -8.4852 4.2894
Mn O
4 8
Direct
0.1349 0.8651 0.4238
0.8651 0.1349 0.9238
0.8651 0.1349 0.5762
0.1349 0.8651 0.0762
0.7623 0.2377 0.1082
0.2377 0.7623 0.8918
0.5000 0.5000 0.0000
0.7623 0.2377 0.3918
0.9476 0.0524 0.7500
0.5000 0.5000 0.5000
0.0524 0.9476 0.2500
0.2377 0.7623 0.6082
```



Entry 5:
Below is a geometry-optimized LiVF4 structure, with properties calculated at the PBE+U level.

Computed properties:
* density: 2.832 g/cm³
* E above lowest polymorph: 59 meV/atom
* total magnetic moment: 2.00 μB/f.u.
* DFT formation energy: -3.16 eV per atom

POSCAR file:
```
LiVF4
1.0
2.9293 -4.2017 0.0000
2.9293 4.2017 0.0000
0.0000 0.0000 6.3778
Li V F
2 2 8
Direct
0.3574 0.6426 0.7500
0.6426 0.3574 0.2500
0.0000 0.0000 0.0000
0.0000 0.0000 0.5000
0.2332 0.2085 0.2500
0.2085 0.2332 0.7500
0.2252 0.7748 0.5176
0.2252 0.7748 0.9824
0.7748 0.2252 0.0176
0.7748 0.2252 0.4824
0.7915 0.7668 0.2500
0.7668 0.7915 0.7500
```



Entry 6:
Below is a geometry-optimized BaV2CuO7 structure, with properties calculated at the PBE+U level.

Computed properties:
* density: 4.227 g/cm³
* total magnetic moment: 1.00 μB/f.u.
* DFT formation energy: -2.36 eV per atom

POSCAR file:
```
BaV2CuO7
1.0
5.5866 0.0000 0.0000
0.0000 7.5975 0.0000
0.0000 0.0000 15.3535
Ba V Cu O
4 8 4 28
Direct
0.2500 0.8837 0.2998
0.7500 0.1163 0.7002
0.7500 0.3837 0.2002
0.2500 0.6163 0.7998
0.2500 0.8865 0.5908
0.7500 0.1135 0.4092
0.7500 0.3865 0.9092
0.2500 0.6135 0.0908
0.2500 0.1430 0.1067
0.7500 0.8570 0.8933
0.7500 0.6430 0.3933
0.2500 0.3570 0.6067
0.2500 0.3856 0.3680
0.7500 0.6144 0.6320
0.7500 0.8856 0.1320
0.2500 0.1144 0.8680
0.2500 0.4176 0.5037
0.7500 0.5824 0.4963
0.7500 0.9176 0.9963
0.2500 0.0824 0.0037
0.2500 0.1186 0.6274
0.7500 0.8814 0.3726
0.7500 0.6186 0.8726
0.2500 0.3814 0.1274
0.2500 0.8628 0.4827
0.7500 0.1372 0.5173
0.7500 0.3628 0.0173
0.2500 0.6372 0.9827
0.5015 0.7972 0.6423
0.0015 0.2028 0.3577
0.4985 0.2972 0.8577
0.9985 0.7028 0.1423
0.4985 0.2028 0.3577
0.9985 0.7972 0.6423
0.5015 0.7028 0.1423
0.0015 0.2972 0.8577
0.4983 0.5618 0.3370
0.9983 0.4382 0.6630
0.5017 0.0618 0.1630
0.0017 0.9382 0.8370
0.5017 0.4382 0.6630
0.0017 0.5618 0.3370
0.4983 0.9382 0.8370
0.9983 0.0618 0.1630
```



Entry 7:
Below is a geometry-optimized Li9Mn7O16 structure, with properties calculated at the PBE+U level.

Computed properties:
* density: 3.931 g/cm³
* E above lowest polymorph: 10 meV/atom
* total magnetic moment: 26.00 μB/f.u.
* DFT formation energy: -2.13 eV per atom

POSCAR file:
```
Li9Mn7O16
1.0
6.0610 0.0000 0.0000
-1.5339 -6.3356 0.0000
-2.1107 0.1720 -7.7345
Li Mn O
9 7 16
Direct
0.6198 0.1260 0.8746
0.6220 0.6266 0.3737
0.8738 0.3790 0.6301
0.8641 0.8635 0.1222
0.1262 0.6210 0.3699
0.1359 0.1365 0.8778
0.3802 0.8740 0.1254
0.3780 0.3734 0.6263
0.5000 0.5000 0.0000
0.7492 0.2511 0.2442
0.0000 0.5000 0.0000
0.7425 0.7483 0.7565
0.0000 0.0000 0.5000
0.2508 0.7489 0.7558
0.2575 0.2517 0.2435
0.5000 0.0000 0.5000
0.4463 0.1906 0.0807
0.4545 0.6992 0.5661
0.7070 0.4545 0.8172
0.7083 0.9498 0.3145
0.9478 0.7051 0.5724
0.9611 0.2056 0.0612
0.2077 0.9552 0.3173
0.1695 0.4592 0.8286
0.7923 0.0448 0.6827
0.8305 0.5408 0.1714
0.0522 0.2949 0.4276
0.0389 0.7944 0.9388
0.2930 0.5455 0.1828
0.2917 0.0502 0.6855
0.5537 0.8094 0.9193
0.5455 0.3008 0.4339
```



Question: Which of these has the lowest total magnetic moment?
Answer: CoH19S3N5O11



Question: density of number 2 (MgNiGe2O6)?
Answer: 4.644 g/cm³